(i)
Sr2FeSnO6 | PBE with a Hubbard U | optimized geometry

abc: 8.060 8.148 9.031
angles: 63.23 90.00 90.01
Element x y z (fractional)
Sr  0.500  0.751  0.500
Sr  0.000  0.500  0.000
Sr  0.500  0.249  0.500
Sr  0.000  0.000  0.000
Sr  0.000  0.751  0.500
Sr  0.500  0.500  0.000
Sr  0.000  0.249  0.500
Sr  0.500  0.000  0.000
Fe  0.250  0.125  0.250
Fe  0.750  0.875  0.750
Fe  0.750  0.375  0.750
Fe  0.250  0.625  0.250
Sn  0.750  0.625  0.250
Sn  0.250  0.375  0.750
Sn  0.750  0.125  0.250
Sn  0.250  0.875  0.750
O  0.750  0.875  0.250
O  0.250  0.625  0.750
O  0.750  0.375  0.250
O  0.250  0.125  0.750
O  0.750  0.632  0.750
O  0.250  0.368  0.250
O  0.750  0.119  0.750
O  0.250  0.881  0.250
O  0.996  0.375  0.750
O  0.495  0.124  0.251
O  0.994  0.875  0.749
O  0.496  0.625  0.250
O  0.004  0.625  0.250
O  0.504  0.375  0.750
O  0.005  0.124  0.251
O  0.506  0.875  0.749
O  0.750  0.498  0.505
O  0.250  0.247  0.005
O  0.750  0.997  0.505
O  0.250  0.748  0.004
O  0.250  0.502  0.495
O  0.750  0.252  0.996
O  0.250  0.003  0.496
O  0.750  0.753  0.994

Summary:
Symmetry: No. 63


(ii)
Sr2FeSnO6 | PBE with a Hubbard U | optimized geometry

abc: 4.028 8.101 8.011
angles: 90.00 90.00 90.00
Element x y z (fractional)
Sr  0.000  0.999  0.984
Sr  0.000  0.501  0.984
Sr  0.000  0.999  0.516
Sr  0.000  0.501  0.516
Fe  0.500  0.750  0.750
Fe  0.500  0.250  0.750
Sn  0.500  0.250  0.250
Sn  0.500  0.750  0.250
O  0.500  0.250  0.991
O  0.500  0.750  0.991
O  0.500  0.250  0.509
O  0.500  0.750  0.509
O  0.500  0.000  0.250
O  0.500  0.500  0.250
O  0.000  0.250  0.250
O  0.000  0.750  0.250
O  0.500  0.993  0.750
O  0.500  0.507  0.750
O  0.000  0.250  0.750
O  0.000  0.750  0.750

Summary:
Symmetry: No. 47


Which one is most stable, and which one is least stable? (ii) is the most stable of them, while (i) is the least stable.


(i)
Sr2FeSnO6 | PBE with a Hubbard U | optimized geometry

abc: 5.690 5.690 4.036
angles: 90.00 90.00 90.00
Element x y z (fractional)
Sr  0.500  0.000  0.000
Sr  0.000  0.500  0.000
Fe  0.000  0.000  0.500
Sn  0.500  0.500  0.500
O  0.245  0.245  0.500
O  0.755  0.755  0.500
O  0.755  0.245  0.500
O  0.245  0.755  0.500
O  0.500  0.500  0.000
O  0.000  0.000  0.000

Summary:
Symmetry: No. 123


(ii)
Sr2FeSnO6 | PBE with a Hubbard U | optimized geometry

abc: 4.033 4.033 7.995
angles: 90.00 90.00 90.00
Element x y z (fractional)
Sr  0.000  0.000  0.735
Sr  0.000  0.000  0.265
Fe  0.500  0.500  0.500
Sn  0.500  0.500  0.000
O  0.500  0.500  0.740
O  0.500  0.500  0.260
O  0.500  0.000  0.000
O  0.500  0.000  0.500
O  0.000  0.500  0.000
O  0.000  0.500  0.500

Summary:
Symmetry: No. 123


Which one is most stable, and which one is least stable? (ii) is the most stable of them, while (i) is the least stable.


(i)
Sr2FeSnO6 | PBE with a Hubbard U | optimized geometry

abc: 4.030 8.978 8.113
angles: 63.11 90.00 90.00
Element x y z (fractional)
Sr  0.000  0.984  0.007
Sr  0.000  0.984  0.509
Sr  0.000  0.516  0.241
Sr  0.000  0.516  0.743
Fe  0.500  0.750  0.875
Fe  0.500  0.750  0.375
Sn  0.500  0.250  0.125
Sn  0.500  0.250  0.625
O  0.500  0.991  0.755
O  0.500  0.991  0.255
O  0.500  0.509  0.995
O  0.500  0.509  0.495
O  0.500  0.250  0.375
O  0.500  0.250  0.875
O  0.000  0.251  0.125
O  0.000  0.249  0.625
O  0.500  0.750  0.119
O  0.500  0.750  0.631
O  0.000  0.750  0.875
O  0.000  0.750  0.375

Summary:
Symmetry: No. 65


(ii)
Sr2FeSnO6 | PBE with a Hubbard U | optimized geometry

abc: 8.102 8.966 9.033
angles: 78.31 63.35 63.14
Element x y z (fractional)
Sr  0.258  0.985  0.500
Sr  0.009  0.983  0.000
Sr  0.756  0.985  0.500
Sr  0.509  0.983  0.000
Sr  0.494  0.515  0.500
Sr  0.241  0.517  0.000
Sr  0.992  0.515  0.500
Sr  0.741  0.517  0.000
Fe  0.751  0.750  0.249
Fe  0.499  0.750  0.751
Fe  0.000  0.750  0.750
Fe  0.250  0.750  0.250
Sn  0.250  0.250  0.750
Sn  0.000  0.250  0.250
Sn  0.750  0.250  0.750
Sn  0.500  0.250  0.250
O  0.881  0.991  0.747
O  0.631  0.990  0.249
O  0.380  0.990  0.751
O  0.128  0.991  0.253
O  0.122  0.509  0.747
O  0.870  0.510  0.249
O  0.619  0.510  0.751
O  0.369  0.509  0.253
O  0.378  0.245  0.500
O  0.125  0.250  0.000
O  0.872  0.255  0.500
O  0.625  0.250  0.000
O  0.500  0.250  0.750
O  0.250  0.250  0.250
O  0.000  0.250  0.750
O  0.750  0.250  0.250
O  0.125  0.750  0.500
O  0.877  0.750  0.995
O  0.625  0.750  0.500
O  0.373  0.750  0.005
O  0.258  0.750  0.750
O  0.992  0.750  0.250
O  0.742  0.750  0.750
O  0.508  0.750  0.250

Summary:
Symmetry: No. 69


(iii)
Sr2FeSnO6 | PBE with a Hubbard U | optimized geometry

abc: 7.010 7.012 12.099
angles: 101.21 101.19 109.17
Element x y z (fractional)
Sr  0.500  0.500  0.001
Sr  0.749  0.749  0.499
Sr  0.000  0.000  0.001
Sr  0.251  0.251  0.499
Sr  0.875  0.375  0.250
Sr  0.125  0.625  0.750
Sr  0.375  0.875  0.250
Sr  0.625  0.125  0.750
Fe  0.375  0.375  0.250
Fe  0.625  0.625  0.750
Fe  0.875  0.875  0.250
Fe  0.125  0.125  0.750
Sn  0.500  0.000  0.000
Sn  0.750  0.250  0.500
Sn  0.000  0.500  0.000
Sn  0.250  0.750  0.500
O  0.750  0.250  0.000
O  0.000  0.500  0.500
O  0.250  0.750  0.000
O  0.500  0.000  0.500
O  0.618  0.618  0.250
O  0.868  0.868  0.750
O  0.132  0.132  0.250
O  0.382  0.382  0.750
O  0.559  0.314  0.373
O  0.808  0.564  0.872
O  0.060  0.814  0.373
O  0.310  0.063  0.873
O  0.690  0.937  0.127
O  0.940  0.186  0.627
O  0.192  0.436  0.128
O  0.441  0.686  0.627
O  0.436  0.192  0.128
O  0.686  0.441  0.627
O  0.937  0.690  0.127
O  0.186  0.940  0.627
O  0.814  0.060  0.373
O  0.063  0.310  0.873
O  0.314  0.559  0.373
O  0.564  0.808  0.872

Summary:
Symmetry: No. 42


Which one is most stable, and which one is least stable? (ii) is the most stable of them, while (iii) is the least stable.


(i)
Sr2Fe23O38 | PBE with a Hubbard U | optimized geometry

abc: 5.994 5.993 23.435
angles: 90.11 89.85 120.07
Element x y z (fractional)
Sr  0.328  0.663  0.750
Sr  0.647  0.328  0.250
Fe  0.171  0.833  0.609
Fe  0.166  0.831  0.889
Fe  0.328  0.669  0.195
Fe  0.334  0.667  0.026
Fe  0.171  0.339  0.609
Fe  0.331  0.666  0.310
Fe  0.001  0.000  0.999
Fe  0.002  0.001  0.501
Fe  0.997  0.999  0.745
Fe  0.335  0.668  0.474
Fe  0.166  0.336  0.889
Fe  0.662  0.831  0.890
Fe  0.666  0.833  0.610
Fe  0.335  0.168  0.110
Fe  0.336  0.167  0.393
Fe  0.666  0.333  0.690
Fe  0.666  0.333  0.973
Fe  0.670  0.335  0.529
Fe  0.663  0.332  0.808
Fe  0.833  0.664  0.392
Fe  0.832  0.665  0.110
Fe  0.833  0.167  0.109
Fe  0.834  0.167  0.392
O  0.157  0.844  0.052
O  0.158  0.844  0.449
O  0.010  0.505  0.847
O  0.013  0.507  0.651
O  0.198  0.811  0.247
O  0.332  0.666  0.943
O  0.337  0.669  0.556
O  0.157  0.313  0.052
O  0.000  0.001  0.147
O  0.002  0.000  0.355
O  0.003  0.002  0.652
O  0.158  0.313  0.449
O  0.998  0.999  0.848
O  0.200  0.395  0.249
O  0.495  0.989  0.651
O  0.493  0.987  0.847
O  0.602  0.799  0.250
O  0.314  0.157  0.554
O  0.312  0.156  0.946
O  0.496  0.507  0.651
O  0.493  0.505  0.847
O  0.507  0.493  0.350
O  0.501  0.499  0.153
O  0.688  0.843  0.052
O  0.690  0.844  0.449
O  0.363  0.182  0.749
O  0.502  0.003  0.152
O  0.504  0.005  0.350
O  0.670  0.333  0.446
O  0.667  0.333  0.057
O  0.815  0.634  0.749
O  0.843  0.687  0.946
O  0.848  0.690  0.554
O  0.815  0.181  0.748
O  0.996  0.498  0.152
O  0.996  0.497  0.350
O  0.844  0.156  0.947
O  0.848  0.157  0.554

Summary:
Symmetry: No. 1


(ii)
Sr2Fe23O38 | PBE with a Hubbard U | optimized geometry

abc: 5.935 5.956 23.265
angles: 90.27 89.87 119.86
Element x y z (fractional)
Sr  0.337  0.669  0.749
Sr  0.673  0.331  0.250
Fe  0.167  0.336  0.612
Fe  0.168  0.335  0.891
Fe  0.332  0.660  0.195
Fe  0.332  0.666  0.027
Fe  0.663  0.833  0.607
Fe  0.335  0.666  0.310
Fe  0.999  0.002  0.000
Fe  0.999  0.998  0.501
Fe  0.999  0.997  0.751
Fe  0.332  0.668  0.475
Fe  0.665  0.831  0.891
Fe  0.169  0.832  0.891
Fe  0.168  0.833  0.607
Fe  0.833  0.165  0.110
Fe  0.837  0.173  0.394
Fe  0.666  0.335  0.689
Fe  0.666  0.336  0.974
Fe  0.666  0.331  0.529
Fe  0.667  0.332  0.808
Fe  0.335  0.165  0.391
Fe  0.333  0.164  0.109
Fe  0.836  0.668  0.109
Fe  0.831  0.665  0.391
O  0.153  0.309  0.051
O  0.151  0.311  0.447
O  0.497  0.503  0.850
O  0.500  0.518  0.651
O  0.190  0.385  0.246
O  0.332  0.667  0.944
O  0.335  0.671  0.558
O  0.691  0.848  0.050
O  0.999  0.001  0.146
O  0.992  0.004  0.353
O  0.995  0.992  0.650
O  0.685  0.834  0.450
O  0.001  0.000  0.847
O  0.609  0.805  0.248
O  0.015  0.518  0.651
O  0.012  0.504  0.848
O  0.198  0.805  0.251
O  0.839  0.149  0.555
O  0.846  0.154  0.949
O  0.491  0.984  0.649
O  0.495  0.988  0.848
O  0.517  0.014  0.349
O  0.499  0.999  0.151
O  0.152  0.849  0.051
O  0.158  0.845  0.448
O  0.817  0.183  0.748
O  0.001  0.502  0.151
O  0.998  0.505  0.348
O  0.665  0.332  0.445
O  0.668  0.333  0.057
O  0.365  0.183  0.748
O  0.305  0.152  0.949
O  0.309  0.150  0.555
O  0.815  0.633  0.750
O  0.503  0.499  0.151
O  0.501  0.495  0.348
O  0.849  0.695  0.949
O  0.844  0.689  0.556

Summary:
Symmetry: No. 1


Which one is most stable, and which one is least stable? (i) is the most stable of them, while (ii) is the least stable.


(i)
Sr3Fe2O5 | PBE with a Hubbard U | optimized geometry

abc: 5.305 10.810 5.305
angles: 98.34 79.53 98.34
Element x y z (fractional)
Sr  0.500  0.000  0.000
Sr  0.000  0.000  0.500
Sr  0.594  0.375  0.094
Sr  0.094  0.375  0.594
Sr  0.906  0.625  0.406
Sr  0.406  0.625  0.906
Fe  0.548  0.193  0.548
Fe  0.952  0.807  0.952
Fe  0.048  0.193  0.048
Fe  0.452  0.807  0.452
O  0.500  0.000  0.500
O  0.000  0.000  0.000
O  0.702  0.808  0.702
O  0.202  0.808  0.202
O  0.298  0.192  0.298
O  0.798  0.192  0.798
O  0.596  0.383  0.596
O  0.096  0.383  0.096
O  0.404  0.617  0.404
O  0.904  0.617  0.904


(ii)
Sr3Fe2O5 | PBE with a Hubbard U | optimized geometry

abc: 3.532 4.022 10.939
angles: 100.59 99.29 90.00
Element x y z (fractional)
Sr  0.312  0.312  0.623
Sr  0.688  0.688  0.377
Sr  0.500  0.500  0.000
Fe  0.097  0.097  0.194
Fe  0.903  0.903  0.806
O  0.193  0.193  0.386
O  0.807  0.807  0.614
O  0.096  0.596  0.192
O  0.904  0.404  0.808
O  0.000  0.000  0.000

Summary:
Symmetry: No. 71


Which one is most stable, and which one is least stable? (ii) is the most stable of them, while (i) is the least stable.